1.
Below is a relaxed structure of FeNiSb6, with properties calculated at the r2SCAN level.

Properties
Total magnetic moment: 0.0 μB per formula unit
Space group: No. 12
Total DFT energy (no corrections): -22.6532 eV per atom
E_form: -74 meV/atom

a = 7.865 Å, b = 7.865 Å, c = 9.092 Å
α = 54.89°, β = 54.89°, γ = 70.68°
Fractional positions:
1 Sb 0.163 0.845 0.331
2 Sb 0.672 0.672 0.167
3 Ni 0.500 0.000 0.500
4 Sb 0.177 0.507 0.155
5 Sb 0.837 0.155 0.669
6 Sb 0.340 0.340 0.503
7 Sb 0.660 0.660 0.497
8 Ni 0.000 0.500 0.500
9 Sb 0.493 0.823 0.845
10 Sb 0.155 0.837 0.669
11 Fe 0.500 0.000 0.000
12 Fe 0.000 0.500 0.000
13 Sb 0.507 0.177 0.155
14 Sb 0.823 0.493 0.845
15 Sb 0.328 0.328 0.833
16 Sb 0.845 0.163 0.331

***

2.
Below is a relaxed structure of Nd2Ga3Cu, with properties calculated at the r2SCAN level.

Properties
Total magnetic moment: 0.0 μB per formula unit
Space group: No. 156
Total DFT energy (no corrections): -17.9817 eV per atom
E_form: -647 meV/atom

a = 4.398 Å, b = 4.398 Å, c = 7.695 Å
α = 90.00°, β = 90.00°, γ = 120.00°
Fractional positions:
1 Ga 0.000 0.000 0.961
2 Ga 0.667 0.333 0.038
3 Cu 0.000 0.000 0.523
4 Ga 0.667 0.333 0.483
5 Nd 0.333 0.667 0.732
6 Nd 0.333 0.667 0.263